Entry 1:
Entry from Materials Project: an optimized crystal structure of ScIr (PBE-GGA).

Geometry as extended XYZ:
```
2
Lattice="-2.0566 -2.3430 0.8543 0.0374 -1.1361 -3.0260 2.4936 -1.9153 0.7500" Properties=species:S:1:pos:R:3 pbc="T T T"
Ir 0.0000 0.0000 0.0000
Sc 0.2372 -2.6973 -0.7109
```

Output
Space-group type   Pm-3m, No. 221
V   33.8 Å³ per cell
E_form   -1.06 eV/atom

---

Entry 2:
Entry from Materials Project: an optimized crystal structure of Sc2Ir (PBE-GGA).

Geometry as extended XYZ:
```
24
Lattice="4.7681 -3.0770 6.6236 -3.8740 -4.2534 6.5556 1.1629 -8.5959 0.9123" Properties=species:S:1:pos:R:3 pbc="T T T"
Sc -2.0265 -5.6514 6.7403
Sc -1.3018 -11.0079 7.3088
Ir 0.8422 -6.5205 5.7693
Ir -0.5615 -8.0616 8.1446
Sc 2.3618 -5.3796 3.7076
Ir 1.2635 -9.6350 6.0999
Ir 2.5698 -7.6354 8.1692
Sc 0.4636 -3.7431 5.8343
Sc 3.2226 -7.8272 5.5294
Sc 3.3588 -4.9184 6.7827
Sc 0.9447 -7.5688 10.8677
Sc 1.1122 -8.3574 3.2238
Ir 3.1327 -11.8462 9.4698
Ir 1.3077 -10.2728 11.5145
Sc 0.5649 -4.2200 1.2114
Sc -0.8951 -5.8230 3.6820
Sc 4.0834 -10.2748 7.3512
Sc 1.9236 -2.1402 3.3638
Ir 1.7290 -13.3873 11.8451
Sc -1.0984 -8.4154 5.4954
Sc 0.7041 -5.6559 8.3510
Ir 0.0014 -12.2724 9.4452
Sc 1.2856 -9.9539 8.8072
Sc -1.3333 -2.5835 3.3381
```

Output
Space-group type   Fd-3m, No. 227
V   469.2 Å³ per cell
E_form   -0.76 eV/atom

---

Entry 3:
Entry from Materials Project: an optimized crystal structure of ScIr2 (PBE-GGA).

Geometry as extended XYZ:
```
6
Lattice="-0.0408 2.3529 4.6835 -1.8320 4.8892 0.4607 -4.5481 0.8740 2.4542" Properties=species:S:1:pos:R:3 pbc="T T T"
Sc -3.2104 4.0581 3.7992
Ir -0.8230 2.1910 3.2915
Ir -1.7186 3.4591 1.1802
Ir -3.0767 1.4515 2.1769
Ir -0.8026 1.0145 0.9498
Sc -4.8157 6.0871 5.6988
```

Output
Space-group type   Fd-3m, No. 227
V   101.8 Å³ per cell
E_form   -0.76 eV/atom

---

Entry 4:
Entry from Materials Project: an optimized crystal structure of Sc57Ir13 (PBE-GGA).

Geometry as extended XYZ:
```
140
Lattice="-13.9210 2.5081 -2.7388 -3.2259 -13.4311 4.0969 -1.8399 4.5717 13.5388" Properties=species:S:1:pos:R:3 pbc="T T T"
Sc -9.8834 4.3558 6.4975
Sc -0.6874 1.7079 5.0578
Sc -13.9394 5.9997 8.6933
Ir -9.9339 -1.0286 -1.0027
Sc -4.7782 -6.1453 1.4257
Sc -13.5213 1.0658 2.3643
Sc -5.4691 -6.2646 6.2948
Sc -14.5220 -2.2696 6.4592
Sc -7.4180 -5.0777 8.3728
Ir -3.6214 -5.3061 13.5482
Sc -7.7335 -8.0697 7.5839
Sc -5.2092 0.5368 12.7330
Ir -10.1936 -8.5484 6.0871
Ir -12.3481 5.0529 6.8422
Sc -8.3281 1.6760 5.9686
Sc -15.3224 -7.6896 8.1806
Sc -3.3644 -5.6652 4.1128
Ir -11.8620 -9.0567 1.4461
Sc -10.2565 -5.0189 9.6393
Ir -11.7336 3.5261 2.3208
Sc -16.2805 -5.4685 10.4049
Ir -5.2848 -1.8663 -0.0880
Sc -4.7300 -3.1875 5.3562
Sc -11.5688 -1.2736 6.5242
Sc -4.8472 0.1066 2.1851
Sc -9.8552 -6.0160 6.6863
Sc -11.6334 3.9766 9.5290
Sc -13.7776 -6.8880 2.1640
Sc -7.4981 -7.4726 1.5043
Sc -5.8775 2.7241 4.3025
Sc -5.3885 -1.5514 10.2015
Sc -3.4514 0.9686 9.9748
Sc -9.4886 3.3747 3.5921
Sc -9.9736 -1.8198 2.4486
Ir -5.5247 -6.7058 9.1798
Sc -4.4648 -4.0816 8.4378
Ir -7.3068 -2.1634 12.4887
Sc -3.0088 4.0303 10.8438
Sc -12.2724 -4.2031 7.4177
Sc -15.2070 -3.3364 12.6821
Sc -12.4713 -1.4490 0.5049
Sc -3.1177 -5.2779 11.0134
Sc -5.3481 -11.5438 3.1712
Sc -3.4124 -8.0914 9.9348
Sc -1.1526 2.8638 8.4810
Sc -8.3821 4.7863 9.0911
Ir -11.6800 -4.1879 2.4082
Ir -2.5217 -8.0387 5.4557
Sc -15.6224 -0.6861 10.7841
Sc -8.5021 -7.4736 13.8209
Sc -6.2263 -9.3285 9.9701
Sc -5.9959 2.9609 10.6381
Sc -2.2144 1.6989 12.8112
Sc -9.1701 3.0277 11.4862
Sc -13.5983 -4.7999 4.6954
Ir -4.0272 3.5537 8.4792
Ir 0.0000 0.0000 0.0000
Sc -13.1371 -6.1247 9.7055
Sc -11.1281 -6.6265 3.9148
Sc -2.0208 -8.4135 2.5664
Sc -11.0480 0.8499 10.3547
Sc -7.9388 -7.2012 4.5423
Sc -2.6404 -6.4638 7.5015
Sc -10.6587 -8.0273 8.9284
Ir -1.4444 -3.5533 4.0875
Sc -5.2006 0.9370 -1.0232
Sc -13.5177 -0.0867 8.6022
Sc -5.0861 -8.4540 3.8739
Sc -6.6613 -3.9886 0.4416
Sc -7.6544 -4.2463 5.3866
Sc -8.7303 -1.3324 5.2577
Sc -8.8288 -4.8270 2.5579
Sc -1.2051 -5.0176 1.5305
Sc -1.8214 1.0801 2.1067
Sc -7.7089 -0.6030 0.7338
Ir -4.2286 -1.3091 7.5337
Sc -6.2723 3.7051 7.2080
Sc -3.6644 1.3383 6.7164
Ir -9.4934 -3.1756 7.4485
Ir -12.9004 -1.1556 11.3882
Sc -12.7156 -7.1721 6.6037
Sc -12.8592 -1.7228 3.7568
Sc -0.7697 -1.8908 2.1806
Sc -11.2779 -5.7483 14.1631
Ir -7.2130 -9.8943 2.3608
Sc -6.2712 0.8208 8.2932
Sc -8.7204 1.5712 -1.7156
Sc -7.8587 0.2753 10.9821
Sc -4.5666 -2.6780 12.9592
Ir -10.9329 -6.7114 11.5272
Sc -10.8318 0.6711 4.2113
Ir -3.4128 2.0269 3.9578
Sc -10.4856 -6.9344 0.9166
Sc -1.9481 -3.5815 6.6223
Sc -4.2961 -6.9687 15.4551
Sc -5.8497 -0.2266 5.1915
Sc -9.1316 -0.3353 8.2106
Sc -2.7063 -0.8828 4.4920
Sc -8.2960 -2.6521 10.1078
Ir -8.7932 2.1971 8.8098
Sc -6.1275 -4.6284 11.1401
Sc -2.4254 -2.3956 10.1342
Sc -15.5354 -7.3199 4.9222
Sc -14.2664 2.9171 7.8470
Ir -8.0539 0.3602 3.3698
Ir -6.0864 -5.1957 3.5087
Sc -10.4847 1.1223 1.0761
Sc -14.4202 -3.6733 1.9377
Sc -13.9007 2.1027 11.0230
Sc -12.2025 -3.9569 11.8209
Sc -8.1550 -7.0224 10.6856
Sc -9.6488 -3.4503 -0.1462
Sc -11.2533 1.7184 7.3131
Sc -3.7798 -3.0149 2.2148
Sc -2.8514 -10.5583 4.8245
Sc -9.8167 -9.3790 3.4108
Sc -12.9908 -9.3122 4.2589
Sc -10.6908 -3.6992 4.7892
Sc -14.1396 -6.4579 12.7118
Ir -14.7582 -5.0422 7.3633
Sc -6.7144 -2.1482 7.4792
Sc -4.7203 -9.2684 7.0499
Sc -9.0132 -4.5315 12.4483
Sc -14.3317 -9.9252 1.4038
Sc -12.7521 3.0495 -0.0437
Sc -14.2568 -3.1638 9.5408
Sc -7.3534 -10.3279 5.3680
Ir -13.4620 0.3545 5.7171
Sc -11.3324 -2.1050 9.5104
Sc -12.3687 -4.7777 -0.0676
Sc -12.7604 2.9772 4.9269
Sc -10.1580 -1.5242 12.3390
Sc -2.8151 -0.9978 -0.0457
Ir -2.5441 -0.8207 12.1800
Sc -6.5155 -4.9023 14.3921
Sc -1.6534 -0.7680 7.7009
Sc -7.3788 2.2936 1.7090
Sc -6.7843 -2.3944 3.0761
Sc -5.4654 -7.4171 12.5326
Sc -11.7988 0.6208 -1.8131
```

Output
Space-group type   Pm-3, No. 200
V   2990.8 Å³ per cell
E_form   -0.49 eV/atom

---

Entry 5:
Entry from Materials Project: an optimized crystal structure of Sc3Si3Ir (PBE-GGA).

Geometry as extended XYZ:
```
28
Lattice="-1.5841 -1.0351 -3.5804 8.5876 -4.9646 -2.3643 -4.3260 -9.7346 4.7281" Properties=species:S:1:pos:R:3 pbc="T T T"
Sc 4.8987 -10.6866 -0.2231
Si 4.5766 -6.0397 -3.7142
Si -3.8316 -8.3252 2.9569
Si 0.6308 -13.5076 0.1904
Sc -0.0272 -7.3232 -1.3063
Sc 7.0506 -4.8057 -2.8753
Si 2.0467 -2.2266 -1.4070
Si -1.8991 -9.6945 2.4977
Sc 5.5326 -7.3507 -1.4679
Sc 0.8750 -4.4221 -2.5441
Si 3.7784 -9.2096 -2.4447
Ir 2.6561 -6.9567 -2.5994
Sc 1.8025 -11.3121 1.3276
Si -1.1009 -6.5246 1.2281
Sc -4.3730 -10.9285 1.6587
Si 6.5092 -7.4090 -4.1734
Si 2.3880 -5.8031 -0.5240
Sc 2.7047 -8.4110 0.0898
Ir -0.2099 -2.5261 -0.3220
Sc 4.1444 -4.1328 -1.7840
Sc -2.2211 -5.0476 -0.9935
Sc -1.4668 -11.6014 0.5674
Si 2.4003 -10.8993 -1.3465
Sc -2.8550 -8.3835 0.2514
Ir 2.8874 -13.2081 -0.8946
Si 0.2772 -4.8349 0.1299
Ir 0.0215 -8.7775 1.3829
Si 0.2896 -9.9311 -0.6925
```

Output
Space-group type   Pnma, No. 62
V   481.3 Å³ per cell
E_form   -0.99 eV/atom

---

Entry 6:
Entry from Materials Project: an optimized crystal structure of Sc6Te2Ir (PBE-GGA).

Geometry as extended XYZ:
```
9
Lattice="3.9015 -6.7575 0.0000 3.9015 6.7575 0.0000 0.0000 0.0000 3.8182" Properties=species:S:1:pos:R:3 pbc="T T T"
Sc 2.3977 4.1529 0.0000
Te 3.9015 -2.2525 1.9091
Sc 3.0076 0.0000 0.0000
Ir 0.0000 0.0000 0.0000
Sc 0.9474 -1.6409 1.9091
Sc 0.9474 1.6409 1.9091
Sc 5.9081 0.0000 1.9091
Te 3.9015 2.2525 1.9091
Sc 2.3977 -4.1529 0.0000
```

Output
Space-group type   P-62m, No. 189
V   201.3 Å³ per cell
E_form   -0.83 eV/atom

---

Entry 7:
Entry from Materials Project: an optimized crystal structure of U12Ir4Se31 (PBE-GGA).

Geometry as extended XYZ:
```
47
Lattice="-2.5070 -9.5519 6.5714 -8.0574 8.4436 2.1188 -0.2354 -2.9168 -11.4953" Properties=species:S:1:pos:R:3 pbc="T T T"
U -5.0474 -9.1056 -0.9030
Se -9.2243 -4.2844 1.8290
U -5.7523 5.0805 -1.9022
Se -7.9465 1.5002 5.4038
U -5.5709 1.3087 -0.2112
Se -1.6111 -7.7632 -5.7006
Se -3.3821 -6.1086 3.1946
Se -4.7349 2.3649 -8.2065
Se -2.6179 -2.6084 3.2863
Se -6.5520 -3.0211 6.5225
U -3.3269 -2.0929 -4.3114
Ir -5.3999 -2.0126 -1.4026
Ir -0.1177 -1.4584 -5.7477
Se -7.5508 -0.7310 -1.1874
Se -7.4177 2.0835 -5.9998
Se -4.0123 -6.5114 -0.2894
U -6.3841 3.0183 3.4612
Se -3.2490 -3.2942 -1.6178
Se -7.4839 0.9132 1.8556
Se -6.7875 2.4863 -2.5157
Se -4.2938 -8.0447 -3.4938
Se -6.5060 4.0195 0.6886
Se -10.2335 -1.0124 1.0194
Se -0.5662 -3.0127 -3.8246
Se -6.0103 -3.8645 3.0378
Ir -4.0287 4.2218 1.0594
Se -9.1887 3.7381 2.8954
Se -4.2582 -0.0222 -2.4274
Se -6.0984 -2.8053 -3.7357
Ir -1.2535 -4.7759 3.2857
Se -5.2822 -0.5541 4.3451
U -7.4729 -1.9322 1.5062
Se -6.5416 -4.0029 -0.3778
Se -4.0124 1.9129 2.1677
Se -8.6355 -1.6326 4.1667
U -6.8715 -0.0081 -3.9117
Se -4.7895 -0.1606 -5.8429
U -3.9283 -4.0170 1.1065
Se -6.0648 -6.3900 5.4014
Se -1.5754 0.2592 -4.6341
Se -4.7014 -1.2198 0.9305
Se -3.3159 -4.9383 -4.6608
U -5.2289 -5.3338 -2.5939
U -8.9552 3.5642 -4.0378
U -4.1803 -4.1265 5.2290
Se -2.1643 -2.3926 -6.9718
U -1.8446 -7.5893 1.2327
```

Output
Corrected total energy (MP2020 scheme)   -7.1634 eV/atom
Space-group type   I4/mmm, No. 139
V   1284.8 Å³ per cell
E_form   -1.22 eV/atom

---

Entry 8:
Entry from Materials Project: an optimized crystal structure of Si2Ir (PBE-GGA).

Geometry as extended XYZ:
```
3
Lattice="-1.7391 2.1123 2.9791 -4.0199 -0.0639 0.4447 -1.6563 -1.9283 3.1463" Properties=species:S:1:pos:R:3 pbc="T T T"
Si -1.8538 0.0300 1.6425
Ir 0.0000 0.0000 0.0000
Si -5.5614 0.0900 4.9276
```

Output
Space-group type   Fm-3m, No. 225
V   46.8 Å³ per cell
E_form   -0.51 eV/atom